V4O3F9: relaxed, PBE+U.

Structure (CIF):
```
data_V4O3F9
_chemical_formula_sum 'V8 O6 F18'
_space_group_name_H-M_alt 'P 1'
_space_group_IT_number 1
_space_group_name_Hall 'P 1'
_cell_length_a 5.245
_cell_length_b 5.387
_cell_length_c 17.393
_cell_angle_alpha 83.24
_cell_angle_beta 81.48
_cell_angle_gamma 61.24
loop_
_atom_site_label
_atom_site_type_symbol
_atom_site_fract_x
_atom_site_fract_y
_atom_site_fract_z
V1 V 0.000 0.000 0.000
V2 V 0.097 0.145 0.631
V3 V 0.255 0.213 0.258
V4 V 0.356 0.331 0.874
V5 V 0.486 0.514 0.501
V6 V 0.609 0.633 0.132
V7 V 0.727 0.739 0.753
V8 V 0.839 0.864 0.378
O1 O 0.003 0.413 0.688
O2 O 0.180 0.182 0.963
O3 O 0.452 0.064 0.817
O4 O 0.474 0.070 0.331
O5 O 0.505 0.910 0.187
O6 O 0.664 0.694 0.462
F1 F 0.021 0.023 0.291
F2 F 0.190 0.810 0.567
F3 F 0.225 0.646 0.417
F4 F 0.228 0.806 0.088
F5 F 0.254 0.662 0.940
F6 F 0.270 0.284 0.540
F7 F 0.442 0.445 0.212
F8 F 0.490 0.902 0.664
F9 F 0.508 0.535 0.793
F10 F 0.705 0.298 0.069
F11 F 0.713 0.322 0.589
F12 F 0.734 0.151 0.918
F13 F 0.759 0.174 0.442
F14 F 0.777 0.776 0.041
F15 F 0.945 0.543 0.313
F16 F 0.948 0.942 0.712
F17 F 0.964 0.575 0.840
F18 F 0.997 0.392 0.168
```

DFT formation energy: -285 kJ per mole of atoms

=====

Na3Mn2Ge3O12: relaxed, PBE+U.

Structure (CIF):
```
data_Na3Mn2Ge3O12
_chemical_formula_sum 'Na36 Mn24 Ge36 O144'
_space_group_name_H-M_alt 'R -3 c'
_space_group_IT_number 167
_space_group_name_Hall '-R 3 2"c'
_cell_length_a 17.3522
_cell_length_b 17.3522
_cell_length_c 10.6224
_cell_angle_alpha 90.00
_cell_angle_beta 90.00
_cell_angle_gamma 120.00
loop_
_atom_site_label
_atom_site_type_symbol
_atom_site_fract_x
_atom_site_fract_y
_atom_site_fract_z
Na1 Na 0.0000 0.1249 0.2500
Na2 Na 0.0000 0.3749 0.7500
Mn1 Mn 0.0000 0.0000 0.0000
Mn2 Mn 0.0000 0.5000 0.0000
Ge1 Ge 0.0416 0.2082 0.5833
O1 O 0.0062 0.0935 0.6071
O2 O 0.0414 0.2773 0.8765
O3 O 0.0642 0.2410 0.4222
O4 O 0.0703 0.5285 0.8471
```

DFT formation energy: -188 kJ per mole of atoms

=====

CrPO10: relaxed, PBE+U.

Structure (CIF):
```
data_CrPO10
_chemical_formula_sum 'Cr8 P8 O80'
_space_group_name_H-M_alt 'C 1 c 1'
_space_group_IT_number 9
_space_group_name_Hall 'C -2yc'
_cell_length_a 10.087
_cell_length_b 7.540
_cell_length_c 24.946
_cell_angle_alpha 90.00
_cell_angle_beta 92.32
_cell_angle_gamma 90.00
loop_
_atom_site_label
_atom_site_type_symbol
_atom_site_fract_x
_atom_site_fract_y
_atom_site_fract_z
Cr1 Cr 0.000 0.039 0.000
Cr2 Cr 0.007 0.086 0.746
P1 P 0.184 0.450 0.383
P2 P 0.409 0.063 0.632
O1 O 0.000 0.190 0.489
O2 O 0.027 0.438 0.173
O3 O 0.033 0.139 0.943
O4 O 0.067 0.453 0.341
O5 O 0.108 0.118 0.051
O6 O 0.123 0.161 0.557
O7 O 0.133 0.499 0.438
O8 O 0.142 0.074 0.817
O9 O 0.166 0.111 0.242
O10 O 0.167 0.166 0.731
O11 O 0.205 0.041 0.483
O12 O 0.245 0.263 0.385
O13 O 0.289 0.412 0.868
O14 O 0.307 0.078 0.148
O15 O 0.342 0.246 0.631
O16 O 0.351 0.406 0.514
O17 O 0.416 0.410 0.192
O18 O 0.448 0.268 0.288
O19 O 0.457 0.017 0.576
O20 O 0.483 0.379 0.778
```

DFT formation energy: -62 kJ per mole of atoms

=====

SrCePrCoO6: relaxed, PBE+U.

Structure (CIF):
```
data_SrCePrCoO6
_chemical_formula_sum 'Sr4 Ce4 Pr4 Co4 O24'
_space_group_name_H-M_alt 'F -4 3 m'
_space_group_IT_number 216
_space_group_name_Hall 'F -4 2 3'
_cell_length_a 8.132
_cell_length_b 8.132
_cell_length_c 8.132
_cell_angle_alpha 90.00
_cell_angle_beta 90.00
_cell_angle_gamma 90.00
loop_
_atom_site_label
_atom_site_type_symbol
_atom_site_fract_x
_atom_site_fract_y
_atom_site_fract_z
Sr1 Sr 0.000 0.000 0.000
Ce1 Ce 0.250 0.250 0.250
Pr1 Pr 0.000 0.000 0.500
Co1 Co 0.250 0.250 0.750
O1 O 0.017 0.250 0.750
```

DFT formation energy: -278 kJ per mole of atoms

=====

MgCo4Ag4O8: relaxed, PBE+U.

Structure (CIF):
```
data_MgCo4Ag4O8
_chemical_formula_sum 'Mg2 Co8 Ag8 O16'
_space_group_name_H-M_alt 'C 1 m 1'
_space_group_IT_number 8
_space_group_name_Hall 'C -2y'
_cell_length_a 5.394
_cell_length_b 3.042
_cell_length_c 26.888
_cell_angle_alpha 90.00
_cell_angle_beta 91.55
_cell_angle_gamma 90.00
loop_
_atom_site_label
_atom_site_type_symbol
_atom_site_fract_x
_atom_site_fract_y
_atom_site_fract_z
Mg1 Mg 0.000 0.000 0.000
Co1 Co 0.177 0.500 0.102
Co2 Co 0.345 0.500 0.785
Co3 Co 0.459 0.000 0.324
Co4 Co 0.485 0.000 0.554
Ag1 Ag 0.051 0.000 0.210
Ag2 Ag 0.166 0.000 0.670
Ag3 Ag 0.321 0.500 0.439
Ag4 Ag 0.490 0.000 0.905
O1 O 0.011 0.000 0.131
O2 O 0.011 0.500 0.822
O3 O 0.097 0.000 0.288
O4 O 0.156 0.000 0.591
O5 O 0.174 0.500 0.028
O6 O 0.175 0.000 0.748
O7 O 0.316 0.500 0.517
O8 O 0.319 0.500 0.360
```

DFT formation energy: -97 kJ per mole of atoms

=====

NiH20S2N2O14: relaxed, PBE+U.

Structure (CIF):
```
data_NiH20S2N2O14
_chemical_formula_sum 'Ni2 H40 S4 N4 O28'
_space_group_name_H-M_alt 'P 1 21/c 1'
_space_group_IT_number 14
_space_group_name_Hall '-P 2ybc'
_cell_length_a 6.543
_cell_length_b 12.807
_cell_length_c 9.137
_cell_angle_alpha 90.00
_cell_angle_beta 108.46
_cell_angle_gamma 90.00
loop_
_atom_site_label
_atom_site_type_symbol
_atom_site_fract_x
_atom_site_fract_y
_atom_site_fract_z
Ni1 Ni 0.000 0.000 0.000
H1 H 0.033 0.191 0.138
H2 H 0.080 0.104 0.269
H3 H 0.085 0.626 0.757
H4 H 0.214 0.667 0.068
H5 H 0.306 0.590 0.732
H6 H 0.307 0.052 0.888
H7 H 0.349 0.546 0.490
H8 H 0.364 0.569 0.175
H9 H 0.420 0.696 0.235
H10 H 0.473 0.653 0.078
S1 S 0.265 0.138 0.595
N1 N 0.366 0.647 0.140
O1 O 0.002 0.618 0.341
O2 O 0.057 0.177 0.613
O3 O 0.154 0.607 0.678
O4 O 0.221 0.076 0.452
O5 O 0.300 0.026 0.990
O6 O 0.374 0.067 0.730
O7 O 0.412 0.226 0.595
```

DFT formation energy: -120 kJ per mole of atoms

=====

Mn2Cr3FeO8: relaxed, PBE+U.

Structure (CIF):
```
data_Mn2Cr3FeO8
_chemical_formula_sum 'Mn6 Cr9 Fe3 O24'
_space_group_name_H-M_alt 'R -3 m'
_space_group_IT_number 166
_space_group_name_Hall '-R 3 2"'
_cell_length_a 6.0998
_cell_length_b 6.0998
_cell_length_c 14.8971
_cell_angle_alpha 90.00
_cell_angle_beta 90.00
_cell_angle_gamma 120.00
loop_
_atom_site_label
_atom_site_type_symbol
_atom_site_fract_x
_atom_site_fract_y
_atom_site_fract_z
Mn1 Mn 0.0000 0.0000 0.1246
Cr1 Cr 0.0000 0.5000 0.0000
Fe1 Fe 0.0000 0.0000 0.5000
O1 O 0.0000 0.0000 0.2639
O2 O 0.0351 0.5176 0.2551
```

DFT formation energy: -213 kJ per mole of atoms

=====

Ca2MnFeSi4H5O15: relaxed, PBE+U.

Structure (CIF):
```
data_Ca2MnFeSi4H5O15
_chemical_formula_sum 'Ca4 Mn2 Fe2 Si8 H10 O30'
_space_group_name_H-M_alt 'P -1'
_space_group_IT_number 2
_space_group_name_Hall '-P 1'
_cell_length_a 6.647
_cell_length_b 10.068
_cell_length_c 10.615
_cell_angle_alpha 66.14
_cell_angle_beta 74.10
_cell_angle_gamma 78.67
loop_
_atom_site_label
_atom_site_type_symbol
_atom_site_fract_x
_atom_site_fract_y
_atom_site_fract_z
Ca1 Ca 0.090 0.304 0.032
Ca2 Ca 0.143 0.882 0.139
Mn1 Mn 0.222 0.491 0.207
Fe1 Fe 0.377 0.624 0.396
Si1 Si 0.153 0.314 0.577
Si2 Si 0.290 0.603 0.721
Si3 Si 0.362 0.092 0.809
Si4 Si 0.416 0.745 0.892
H1 H 0.009 0.704 0.571
H2 H 0.067 0.926 0.691
H3 H 0.165 0.049 0.319
H4 H 0.286 0.882 0.512
H5 H 0.301 0.041 0.513
O1 O 0.075 0.072 0.249
O2 O 0.079 0.529 0.832
O3 O 0.088 0.649 0.343
O4 O 0.142 0.310 0.425
O5 O 0.183 0.107 0.944
O6 O 0.228 0.704 0.035
O7 O 0.232 0.145 0.678
O8 O 0.239 0.988 0.476
O9 O 0.255 0.693 0.558
O10 O 0.319 0.737 0.768
O11 O 0.327 0.418 0.555
O12 O 0.362 0.350 0.095
O13 O 0.437 0.816 0.241
O14 O 0.447 0.920 0.846
O15 O 0.497 0.512 0.269
```

DFT formation energy: -248 kJ per mole of atoms

=====

NaLiV2O6: relaxed, PBE+U.

Structure (CIF):
```
data_NaLiV2O6
_chemical_formula_sum 'Na4 Li4 V8 O24'
_space_group_name_H-M_alt 'C 1 2/c 1'
_space_group_IT_number 15
_space_group_name_Hall '-C 2yc'
_cell_length_a 10.745
_cell_length_b 9.942
_cell_length_c 5.938
_cell_angle_alpha 90.00
_cell_angle_beta 113.14
_cell_angle_gamma 90.00
loop_
_atom_site_label
_atom_site_type_symbol
_atom_site_fract_x
_atom_site_fract_y
_atom_site_fract_z
Na1 Na 0.000 0.098 0.250
Li1 Li 0.000 0.226 0.750
V1 V 0.202 0.410 0.203
O1 O 0.125 0.261 0.117
O2 O 0.127 0.105 0.678
O3 O 0.151 0.485 0.433
```

DFT formation energy: -232 kJ per mole of atoms

=====

CrBiO4: relaxed, PBE+U.

Structure (CIF):
```
data_CrBiO4
_chemical_formula_sum 'Cr4 Bi4 O16'
_space_group_name_H-M_alt 'I 41/a m d'
_space_group_IT_number 141
_cell_length_a 7.391
_cell_length_b 7.391
_cell_length_c 6.458
_cell_angle_alpha 90.00
_cell_angle_beta 90.00
_cell_angle_gamma 90.00
loop_
_space_group_symop_operation_xyz
'x,y,z'
'-x,-y,-z'
'-y+1/4,x+3/4,z+1/4'
'y+1/4,-x+3/4,-z+1/4'
'-x+1/2,-y,z+1/2'
'x+1/2,y,-z+1/2'
'y+1/4,-x+1/4,z+3/4'
'-y+1/4,x+1/4,-z+3/4'
'x,-y,-z'
'-x,y,z'
'-y+1/4,-x+1/4,-z+3/4'
'y+1/4,x+1/4,z+3/4'
'-x+1/2,y,-z+1/2'
'x+1/2,-y,z+1/2'
'y+1/4,x+3/4,-z+1/4'
'-y+1/4,-x+3/4,z+1/4'
'x+1/2,y+1/2,z+1/2'
'-x+1/2,-y+1/2,-z+1/2'
'-y+3/4,x+1/4,z+3/4'
'y+3/4,-x+1/4,-z+3/4'
'-x,-y+1/2,z'
'x,y+1/2,-z'
'y+3/4,-x+3/4,z+1/4'
'-y+3/4,x+3/4,-z+1/4'
'x+1/2,-y+1/2,-z+1/2'
'-x+1/2,y+1/2,z+1/2'
'-y+3/4,-x+3/4,-z+1/4'
'y+3/4,x+3/4,z+1/4'
'-x,y+1/2,-z'
'x,-y+1/2,z'
'y+3/4,x+1/4,-z+3/4'
'-y+3/4,-x+1/4,z+3/4'
loop_
_atom_site_label
_atom_site_type_symbol
_atom_site_fract_x
_atom_site_fract_y
_atom_site_fract_z
Cr1 Cr 0.000 0.250 0.375
Bi1 Bi 0.000 0.250 0.875
O1 O 0.000 0.071 0.203
```

DFT formation energy: -167 kJ per mole of atoms